[1]
Na2TlCuCl6 | GGA-PBE | optimized geometry

Results
The value obtained for the MP2020-corrected energy is -3.36 eV/atom. As for the magnetic moment: 0.00 μB/cell. The formation energy is -1.336 eV per atom.

Structure (POSCAR):
```
Na2TlCuCl6
1.0
0.000 5.114 5.114
5.114 0.000 5.114
5.114 5.114 0.000
Na Tl Cu Cl
2 1 1 6
Cartesian
7.672 7.672 7.672 Na
2.557 2.557 2.557 Na
0.000 0.000 0.000 Tl
5.114 5.114 5.114 Cu
2.684 5.114 5.114 Cl
5.114 5.114 2.684 Cl
7.545 5.114 5.114 Cl
5.114 2.684 5.114 Cl
5.114 7.545 5.114 Cl
5.114 5.114 7.545 Cl
```

[2]
NdNb2CuClO7 | GGA-PBE | optimized geometry

Results
The value obtained for the MP2020-corrected energy is -8.16 eV/atom. As for the magnetic moment: 0.95 μB/cell. The formation energy is -2.699 eV per atom.

Structure (POSCAR):
```
NdNb2CuClO7
1.0
3.907 0.000 0.000
0.000 3.907 0.000
0.000 0.000 11.810
Nd Nb Cu Cl O
1 2 1 1 7
Cartesian
1.953 1.953 0.000 Nd
0.000 0.000 2.270 Nb
0.000 0.000 9.541 Nb
0.000 0.000 5.905 Cu
1.953 1.953 5.905 Cl
0.000 1.953 1.809 O
0.000 1.953 10.001 O
1.953 0.000 1.809 O
1.953 0.000 10.001 O
0.000 0.000 4.075 O
0.000 0.000 7.735 O
0.000 0.000 0.000 O
```

[3]
RbNb3CuCl9 | GGA-PBE | optimized geometry

Results
The value obtained for the MP2020-corrected energy is -5.37 eV/atom. As for the magnetic moment: 0.00 μB/cell. The value obtained for the energy above the most stable polymorph in this dataset is 0.0 meV/atom. The formation energy is -1.654 eV per atom.

Structure (POSCAR):
```
RbNb3CuCl9
1.0
9.410 0.009 -0.924
-3.025 7.654 -4.694
-0.020 -0.010 9.471
Rb Nb Cu Cl
2 6 2 18
Cartesian
1.706 3.638 -0.066 Rb
4.660 4.015 3.918 Rb
-1.468 6.867 -1.089 Nb
5.837 5.740 -0.306 Nb
5.111 7.519 -2.529 Nb
7.834 0.786 4.941 Nb
0.529 1.913 4.159 Nb
1.255 0.134 6.381 Nb
5.380 1.434 -0.941 Cu
0.986 6.219 4.793 Cu
5.063 3.274 0.430 Cl
3.427 7.279 -4.633 Cl
2.107 2.438 6.006 Cl
4.259 5.215 -2.154 Cl
0.537 5.856 -2.473 Cl
6.082 0.752 3.196 Cl
1.303 4.379 3.422 Cl
7.588 4.482 -1.503 Cl
3.892 6.304 1.138 Cl
5.829 1.797 6.326 Cl
-2.199 5.561 2.673 Cl
-0.361 1.085 8.005 Cl
8.565 2.093 1.179 Cl
2.474 1.350 2.715 Cl
2.939 0.374 8.486 Cl
-1.223 3.171 5.355 Cl
6.726 6.569 -4.153 Cl
0.284 6.901 0.656 Cl
```

[4]
Nd4CuTe5Cl3O15 | GGA-PBE | optimized geometry

Results
The value obtained for the MP2020-corrected energy is -6.55 eV/atom. As for the magnetic moment: 0.01 μB/cell. The formation energy is -2.316 eV per atom.

Structure (POSCAR):
```
Nd4CuTe5Cl3O15
1.0
2.866 11.632 0.000
-2.866 11.632 0.000
0.000 10.285 14.678
Nd Cu Te Cl O
8 2 10 6 30
Cartesian
1.548 16.774 7.339 Nd
-1.069 19.639 8.417 Nd
-0.993 24.861 9.231 Nd
-0.974 21.743 11.760 Nd
1.849 11.632 0.000 Nd
-0.993 8.687 5.447 Nd
-1.069 13.910 6.261 Nd
-0.974 11.806 2.918 Nd
0.230 17.342 1.271 Cu
0.230 16.207 13.406 Cu
-1.084 17.792 5.170 Te
1.280 22.423 8.634 Te
2.053 14.484 3.914 Te
1.280 11.126 6.043 Te
-1.365 19.475 14.347 Te
-1.084 15.756 9.508 Te
-0.770 20.717 2.748 Te
-1.365 14.074 0.330 Te
2.053 19.065 10.764 Te
-0.770 12.831 11.930 Te
1.467 15.215 11.426 Cl
-1.035 4.513 0.021 Cl
-1.035 29.036 14.657 Cl
-0.917 15.781 2.618 Cl
-0.917 17.768 12.060 Cl
1.467 18.333 3.252 Cl
0.355 6.671 6.380 O
0.675 21.096 7.405 O
0.213 14.818 8.426 O
0.070 12.966 0.946 O
-0.438 16.170 5.966 O
0.675 12.453 7.273 O
0.561 13.403 4.424 O
2.422 15.308 5.602 O
-2.587 20.350 13.160 O
0.659 23.934 7.602 O
-2.376 20.403 10.307 O
2.422 18.241 9.076 O
-0.412 11.058 5.157 O
0.561 20.146 10.253 O
1.078 22.916 12.450 O
0.355 26.878 8.298 O
1.129 24.931 10.344 O
0.587 21.555 3.805 O
-2.587 13.199 1.518 O
1.078 10.633 2.227 O
-0.412 22.490 9.521 O
0.213 18.731 6.252 O
-2.376 13.145 4.371 O
0.070 20.583 13.732 O
0.659 9.615 7.076 O
0.587 11.993 10.872 O
-2.022 23.199 13.576 O
-2.022 10.349 1.101 O
1.129 8.618 4.334 O
-0.438 17.379 8.712 O
```

[5]
Cu2ClO3 | GGA-PBE | optimized geometry

Results
The value obtained for the MP2020-corrected energy is -4.71 eV/atom. As for the magnetic moment: 0.89 μB/cell. The value obtained for the energy above the most stable polymorph in this dataset is 18.2 meV/atom. The formation energy is -0.559 eV per atom.

Structure (POSCAR):
```
Cu2ClO3
1.0
-5.551 -0.695 1.531
-1.348 -5.408 1.603
-0.813 -0.638 5.707
Cu Cl O
4 2 6
Cartesian
-3.856 -3.371 4.420 Cu
-3.182 -0.666 3.619 Cu
-3.450 -3.052 1.567 Cu
-1.081 -3.023 3.655 Cu
-6.221 -5.437 7.130 Cl
-1.492 -1.304 1.710 Cl
-5.117 -2.783 5.842 O
-5.330 -4.688 4.203 O
-3.438 -4.666 5.871 O
-2.596 -3.959 2.998 O
-2.382 -2.053 4.638 O
-4.275 -2.075 2.969 O
```

[6]
Cu2ClO3 | GGA-PBE | optimized geometry

Results
The value obtained for the MP2020-corrected energy is -4.70 eV/atom. As for the magnetic moment: 3.13 μB/cell. The value obtained for the energy above the most stable polymorph in this dataset is 22.4 meV/atom. The formation energy is -0.555 eV per atom.

Structure (POSCAR):
```
Cu2ClO3
1.0
-5.661 0.251 0.766
-0.870 -0.671 -6.211
-0.250 -8.547 0.958
Cu Cl O
8 4 12
Cartesian
-2.955 -4.148 0.862 Cu
-0.435 -0.335 -3.105 Cu
-3.390 -4.483 -2.244 Cu
0.000 0.000 0.000 Cu
-2.601 -6.928 -3.691 Cu
-5.426 -6.616 -3.329 Cu
-4.180 -2.038 -0.796 Cu
-1.355 -2.350 -1.158 Cu
-1.143 -4.842 -0.918 Cl
-4.072 -8.118 -0.154 Cl
-5.638 -4.124 -3.569 Cl
-2.708 -0.849 -4.333 Cl
-2.630 -4.741 -3.923 O
-5.582 -8.795 -3.072 O
-4.151 -4.225 -0.564 O
-1.198 -0.171 -1.415 O
-1.344 -7.346 -5.063 O
-3.819 -6.326 -2.345 O
-5.773 -1.880 -1.831 O
-2.624 -2.380 0.264 O
-5.436 -1.621 0.576 O
-2.961 -2.640 -2.142 O
-1.007 -7.086 -2.656 O
-4.156 -6.586 -4.752 O
```